GaNi3C after structural relaxation, computed with GGA-PBE.

CIF file:
```
data_GaNi3C
_cell_length_a 3.776
_cell_length_b 3.776
_cell_length_c 3.776
_cell_angle_alpha 90.00
_cell_angle_beta 90.00
_cell_angle_gamma 90.00
_symmetry_space_group_name_H-M 'P m -3 m'
_symmetry_Int_Tables_number 221
_symmetry_space_group_name_Hall '-P 4 2 3'
loop_
_atom_site_label
_atom_site_fract_x
_atom_site_fract_y
_atom_site_fract_z
_atom_site_occupancy
Ga1 0.000 0.000 0.000 1
Ni1 0.000 0.500 0.500 1
C1 0.500 0.500 0.500 1
```

Calculated values
**VASP energy**: -5.994 eV per atom
**Energy of formation**: -75 meV/atom


SbSI after structural relaxation, computed with GGA-PBE.

CIF file:
```
data_SbSI
_cell_length_a 9.151
_cell_length_b 10.703
_cell_length_c 4.143
_cell_angle_alpha 90.00
_cell_angle_beta 90.00
_cell_angle_gamma 90.00
_symmetry_space_group_name_H-M 'P n a 21'
_symmetry_Int_Tables_number 33
loop_
_symmetry_equiv_pos_as_xyz
'x,y,z'
'-x,-y,z+1/2'
'-x+1/2,y+1/2,z+1/2'
'x+1/2,-y+1/2,z'
loop_
_atom_site_label
_atom_site_fract_x
_atom_site_fract_y
_atom_site_fract_z
_atom_site_occupancy
Sb1 0.104 0.122 0.000 1
S1 0.150 0.960 0.486 1
I1 0.010 0.682 0.980 1
```

Calculated values
**VASP energy**: -3.573 eV per atom
**Energy of formation**: -604 meV/atom


NaYF4 after structural relaxation, computed with GGA-PBE.

CIF file:
```
data_NaYF4
_cell_length_a 6.0768
_cell_length_b 6.0768
_cell_length_c 7.0924
_cell_angle_alpha 90.00
_cell_angle_beta 90.00
_cell_angle_gamma 120.00
_symmetry_space_group_name_H-M 'P 3'
_symmetry_Int_Tables_number 143
loop_
_symmetry_equiv_pos_as_xyz
'x,y,z'
'-y,x-y,z'
'-x+y,-x,z'
loop_
_atom_site_label
_atom_site_fract_x
_atom_site_fract_y
_atom_site_fract_z
_atom_site_occupancy
Na1 0.0000 0.0000 0.0000 1
Na2 0.0000 0.0000 0.4293 1
Na3 0.6667 0.3333 0.2263 1
Y1 0.3333 0.6667 0.4733 1
Y2 0.3333 0.6667 0.9801 1
Y3 0.6667 0.3333 0.7260 1
F1 0.0882 0.6943 0.7270 1
F2 0.1090 0.7242 0.2263 1
F3 0.3976 0.0732 0.4910 1
F4 0.3987 0.0737 0.9620 1
```

Calculated values
**VASP energy**: -6.223 eV per atom
**Energy of formation**: -3956 meV/atom


Hf2CuIr after structural relaxation, computed with GGA-PBE.

CIF file:
```
data_Hf2CuIr
_cell_length_a 6.527
_cell_length_b 6.527
_cell_length_c 6.527
_cell_angle_alpha 90.00
_cell_angle_beta 90.00
_cell_angle_gamma 90.00
_symmetry_space_group_name_H-M 'F m -3 m'
_symmetry_Int_Tables_number 225
_symmetry_space_group_name_Hall '-F 4 2 3'
loop_
_atom_site_label
_atom_site_fract_x
_atom_site_fract_y
_atom_site_fract_z
_atom_site_occupancy
Hf1 0.250 0.250 0.250 1
Cu1 0.000 0.000 0.000 1
Ir1 0.000 0.000 0.500 1
```

Calculated values
**VASP energy**: -8.789 eV per atom
**Energy of formation**: -576 meV/atom


CsLaO3 after structural relaxation, computed with GGA-PBE.

CIF file:
```
data_CsLaO3
_cell_length_a 4.765
_cell_length_b 4.765
_cell_length_c 4.765
_cell_angle_alpha 90.00
_cell_angle_beta 90.00
_cell_angle_gamma 90.00
_symmetry_space_group_name_H-M 'P m -3 m'
_symmetry_Int_Tables_number 221
_symmetry_space_group_name_Hall '-P 4 2 3'
loop_
_atom_site_label
_atom_site_fract_x
_atom_site_fract_y
_atom_site_fract_z
_atom_site_occupancy
Cs1 0.000 0.000 0.000 1
La1 0.500 0.500 0.500 1
O1 0.000 0.500 0.500 1
```

Calculated values
**VASP energy**: -5.950 eV per atom
**Energy of formation**: -2227 meV/atom


Pm2MgSe4 after structural relaxation, computed with GGA-PBE.

CIF file:
```
data_Pm2MgSe4
_cell_length_a 13.402
_cell_length_b 4.109
_cell_length_c 14.527
_cell_angle_alpha 90.00
_cell_angle_beta 90.00
_cell_angle_gamma 90.00
_symmetry_space_group_name_H-M 'P n m a'
_symmetry_Int_Tables_number 62
loop_
_symmetry_equiv_pos_as_xyz
'x,y,z'
'-x,-y,-z'
'-x+1/2,-y,z+1/2'
'x+1/2,y,-z+1/2'
'x+1/2,-y+1/2,-z+1/2'
'-x+1/2,y+1/2,z+1/2'
'-x,y+1/2,-z'
'x,-y+1/2,z'
loop_
_atom_site_label
_atom_site_fract_x
_atom_site_fract_y
_atom_site_fract_z
_atom_site_occupancy
Pm1 0.118 0.250 0.073 1
Pm2 0.138 0.250 0.704 1
Mg1 0.108 0.750 0.460 1
Se1 0.002 0.750 0.616 1
Se2 0.028 0.250 0.883 1
Se3 0.224 0.250 0.247 1
Se4 0.235 0.250 0.514 1
```

Calculated values
**VASP energy**: -5.207 eV per atom
**Energy of formation**: -1893 meV/atom


Rb2LiNb2Te2O12 after structural relaxation, computed with GGA-PBE.

CIF file:
```
data_Rb2LiNb2Te2O12
_cell_length_a 12.953
_cell_length_b 7.510
_cell_length_c 7.517
_cell_angle_alpha 90.00
_cell_angle_beta 125.06
_cell_angle_gamma 90.00
_symmetry_space_group_name_H-M 'C 1 m 1'
_symmetry_Int_Tables_number 8
loop_
_symmetry_equiv_pos_as_xyz
'x,y,z'
'x,-y,z'
'x+1/2,y+1/2,z'
'x+1/2,-y+1/2,z'
loop_
_atom_site_label
_atom_site_fract_x
_atom_site_fract_y
_atom_site_fract_z
_atom_site_occupancy
Rb1 0.000 0.000 0.000 1
Rb2 0.220 0.000 0.641 1
Li1 0.339 0.500 0.486 1
Nb1 0.320 0.247 0.199 1
Te1 0.063 0.500 0.702 1
Te2 0.072 0.500 0.214 1
O1 0.002 0.500 0.902 1
O2 0.141 0.500 0.526 1
O3 0.197 0.310 0.895 1
O4 0.200 0.319 0.290 1
O5 0.256 0.000 0.147 1
O6 0.384 0.500 0.275 1
O7 0.439 0.194 0.527 1
O8 0.450 0.186 0.149 1
```

Calculated values
**VASP energy**: -6.516 eV per atom
**Energy of formation**: -2227 meV/atom


Ba2PrBiO6 after structural relaxation, computed with GGA-PBE.

CIF file:
```
data_Ba2PrBiO6
_cell_length_a 8.902
_cell_length_b 8.902
_cell_length_c 8.902
_cell_angle_alpha 90.00
_cell_angle_beta 90.00
_cell_angle_gamma 90.00
_symmetry_space_group_name_H-M 'F m -3 m'
_symmetry_Int_Tables_number 225
_symmetry_space_group_name_Hall '-F 4 2 3'
loop_
_atom_site_label
_atom_site_fract_x
_atom_site_fract_y
_atom_site_fract_z
_atom_site_occupancy
Ba1 0.250 0.250 0.250 1
Pr1 0.000 0.000 0.000 1
Bi1 0.000 0.000 0.500 1
O1 0.000 0.000 0.261 1
```

Calculated values
**VASP energy**: -6.529 eV per atom
**Energy of formation**: -2721 meV/atom


Sm2CdSb4 after structural relaxation, computed with GGA-PBE.

CIF file:
```
data_Sm2CdSb4
_cell_length_a 4.352
_cell_length_b 4.352
_cell_length_c 10.758
_cell_angle_alpha 90.00
_cell_angle_beta 90.00
_cell_angle_gamma 90.00
_symmetry_space_group_name_H-M 'P -4 m 2'
_symmetry_Int_Tables_number 115
loop_
_symmetry_equiv_pos_as_xyz
'x,y,z'
'y,-x,-z'
'-x,-y,z'
'-y,x,-z'
'-x,y,z'
'-y,-x,-z'
'x,-y,z'
'y,x,-z'
loop_
_atom_site_label
_atom_site_fract_x
_atom_site_fract_y
_atom_site_fract_z
_atom_site_occupancy
Sm1 0.000 0.500 0.233 1
Cd1 0.500 0.500 0.500 1
Sb1 0.000 0.000 0.000 1
Sb2 0.000 0.500 0.676 1
Sb3 0.500 0.500 0.000 1
```

Calculated values
**VASP energy**: -4.522 eV per atom
**Energy of formation**: -792 meV/atom


Pb3W3N5 after structural relaxation, computed with GGA-PBE.

CIF file:
```
data_Pb3W3N5
_cell_length_a 6.193
_cell_length_b 7.970
_cell_length_c 8.685
_cell_angle_alpha 107.60
_cell_angle_beta 99.05
_cell_angle_gamma 98.49
_symmetry_space_group_name_H-M 'P -1'
_symmetry_Int_Tables_number 2
loop_
_symmetry_equiv_pos_as_xyz
'x,y,z'
'-x,-y,-z'
loop_
_atom_site_label
_atom_site_fract_x
_atom_site_fract_y
_atom_site_fract_z
_atom_site_occupancy
Pb1 0.037 0.297 0.390 1
Pb2 0.068 0.152 0.723 1
Pb3 0.248 0.952 0.022 1
W1 0.187 0.509 0.118 1
W2 0.406 0.600 0.793 1
W3 0.411 0.811 0.456 1
N1 0.149 0.558 0.904 1
N2 0.290 0.039 0.483 1
N3 0.310 0.290 0.059 1
N4 0.384 0.707 0.623 1
N5 0.497 0.624 0.282 1
```

Calculated values
**VASP energy**: -8.228 eV per atom
**Energy of formation**: -56 meV/atom


AlWN3 after structural relaxation, computed with GGA-PBE.

CIF file:
```
data_AlWN3
_cell_length_a 5.536
_cell_length_b 6.041
_cell_length_c 10.274
_cell_angle_alpha 82.53
_cell_angle_beta 82.07
_cell_angle_gamma 87.78
_symmetry_space_group_name_H-M 'P -1'
_symmetry_Int_Tables_number 2
loop_
_symmetry_equiv_pos_as_xyz
'x,y,z'
'-x,-y,-z'
loop_
_atom_site_label
_atom_site_fract_x
_atom_site_fract_y
_atom_site_fract_z
_atom_site_occupancy
Al1 0.139 0.420 0.181 1
Al2 0.345 0.758 0.916 1
W1 0.202 0.273 0.887 1
W2 0.495 0.086 0.369 1
N1 0.137 0.732 0.079 1
N2 0.211 0.573 0.807 1
N3 0.281 0.302 0.322 1
N4 0.332 0.285 0.043 1
N5 0.337 0.860 0.488 1
N6 0.340 0.030 0.797 1
```

Calculated values
**VASP energy**: -8.763 eV per atom
**Energy of formation**: -637 meV/atom


Ba2Fe4AsP3 after structural relaxation, computed with GGA-PBE.

CIF file:
```
data_Ba2Fe4AsP3
_cell_length_a 5.464
_cell_length_b 5.458
_cell_length_c 12.491
_cell_angle_alpha 90.00
_cell_angle_beta 90.00
_cell_angle_gamma 90.00
_symmetry_space_group_name_H-M 'A m m 2'
_symmetry_Int_Tables_number 38
loop_
_symmetry_equiv_pos_as_xyz
'x,y,z'
'-x,-y,z'
'-x,y,z'
'x,-y,z'
'x,y+1/2,z+1/2'
'-x,-y+1/2,z+1/2'
'-x,y+1/2,z+1/2'
'x,-y+1/2,z+1/2'
loop_
_atom_site_label
_atom_site_fract_x
_atom_site_fract_y
_atom_site_fract_z
_atom_site_occupancy
Ba1 0.000 0.000 0.000 1
Ba2 0.500 0.000 0.500 1
Fe1 0.246 0.247 0.246 1
As1 0.500 0.000 0.846 1
P1 0.000 0.000 0.334 1
P2 0.000 0.000 0.661 1
P3 0.500 0.000 0.162 1
```

Calculated values
**VASP energy**: -6.602 eV per atom
**Energy of formation**: -741 meV/atom


> VASP energy of number 9 (Sm2CdSb4)?

-4.522 eV per atom


> Which of these has the lowest VASP energy?

Hf2CuIr


> Which of these has the lowest energy of formation?

NaYF4